[1]
Compound: ReH8N2Cl6
Source: the Materials Project
Functional: GGA-PBE
Structure: optimized geometry

a = 7.083 Å, b = 7.083 Å, c = 7.083 Å
α = 60.00°, β = 60.00°, γ = 60.00°
Element x y z (fractional)
Re (0.000, 0.000, 0.000)
H (0.071, 0.310, 0.310)
H (0.310, 0.071, 0.310)
H (0.310, 0.310, 0.071)
H (0.310, 0.310, 0.310)
H (0.690, 0.690, 0.690)
H (0.690, 0.690, 0.929)
H (0.690, 0.929, 0.690)
H (0.929, 0.690, 0.690)
N (0.250, 0.250, 0.250)
N (0.750, 0.750, 0.750)
Cl (0.238, 0.238, 0.762)
Cl (0.238, 0.762, 0.238)
Cl (0.238, 0.762, 0.762)
Cl (0.762, 0.238, 0.238)
Cl (0.762, 0.238, 0.762)
Cl (0.762, 0.762, 0.238)

Summary:
- energy of formation (eV/atom) = -0.849
- size of the total moment (μB per formula unit) = 3.000

***

[2]
Compound: ReH30Ru2N10Cl10
Source: the Materials Project
Functional: GGA-PBE
Structure: optimized geometry

a = 7.259 Å, b = 7.259 Å, c = 13.641 Å
α = 97.51°, β = 97.51°, γ = 70.51°
Element x y z (fractional)
Re (0.000, 0.000, 0.000)
H (0.038, 0.476, 0.255)
H (0.050, 0.617, 0.609)
H (0.057, 0.342, 0.817)
H (0.108, 0.547, 0.847)
H (0.228, 0.518, 0.535)
H (0.251, 0.681, 0.628)
H (0.319, 0.749, 0.372)
H (0.342, 0.057, 0.817)
H (0.383, 0.950, 0.391)
H (0.398, 0.594, 0.168)
H (0.406, 0.602, 0.832)
H (0.448, 0.448, 0.260)
H (0.453, 0.892, 0.153)
H (0.476, 0.038, 0.255)
H (0.482, 0.772, 0.465)
H (0.518, 0.228, 0.535)
H (0.524, 0.962, 0.745)
H (0.547, 0.108, 0.847)
H (0.552, 0.552, 0.740)
H (0.594, 0.398, 0.168)
H (0.602, 0.406, 0.832)
H (0.617, 0.050, 0.609)
H (0.658, 0.943, 0.183)
H (0.681, 0.251, 0.628)
H (0.749, 0.319, 0.372)
H (0.772, 0.482, 0.465)
H (0.892, 0.453, 0.153)
H (0.943, 0.658, 0.183)
H (0.950, 0.383, 0.391)
H (0.962, 0.524, 0.745)
Ru (0.325, 0.325, 0.698)
Ru (0.675, 0.675, 0.302)
N (0.087, 0.450, 0.788)
N (0.200, 0.564, 0.608)
N (0.436, 0.800, 0.392)
N (0.450, 0.087, 0.788)
N (0.490, 0.490, 0.786)
N (0.510, 0.510, 0.214)
N (0.550, 0.913, 0.212)
N (0.564, 0.200, 0.608)
N (0.800, 0.436, 0.392)
N (0.913, 0.550, 0.212)
Cl (0.004, 0.004, 0.176)
Cl (0.146, 0.146, 0.599)
Cl (0.201, 0.201, 0.021)
Cl (0.284, 0.716, 0.000)
Cl (0.328, 0.328, 0.371)
Cl (0.672, 0.672, 0.629)
Cl (0.716, 0.284, 0.000)
Cl (0.799, 0.799, 0.979)
Cl (0.854, 0.854, 0.401)
Cl (0.996, 0.996, 0.824)

Summary:
- energy of formation (eV/atom) = -0.623
- size of the total moment (μB per formula unit) = 4.743

***

[3]
Compound: SnH4S6N6Cl6
Source: the Materials Project
Functional: GGA-PBE
Structure: optimized geometry

a = 7.364 Å, b = 13.290 Å, c = 11.930 Å
α = 90.00°, β = 122.13°, γ = 90.00°
Element x y z (fractional)
Sn (0.000, 0.000, 0.000)
Sn (0.000, 0.500, 0.500)
H (0.055, 0.227, 0.662)
H (0.055, 0.273, 0.162)
H (0.143, 0.127, 0.777)
H (0.143, 0.373, 0.277)
H (0.857, 0.627, 0.723)
H (0.857, 0.873, 0.223)
H (0.945, 0.727, 0.838)
H (0.945, 0.773, 0.338)
S (0.142, 0.580, 0.920)
S (0.142, 0.920, 0.420)
S (0.339, 0.676, 0.166)
S (0.339, 0.824, 0.666)
S (0.455, 0.657, 0.983)
S (0.455, 0.843, 0.483)
S (0.545, 0.157, 0.517)
S (0.545, 0.343, 0.017)
S (0.661, 0.176, 0.334)
S (0.661, 0.324, 0.834)
S (0.858, 0.080, 0.580)
S (0.858, 0.420, 0.080)
N (0.048, 0.153, 0.682)
N (0.048, 0.347, 0.182)
N (0.168, 0.597, 0.063)
N (0.168, 0.903, 0.563)
N (0.489, 0.708, 0.116)
N (0.489, 0.792, 0.616)
N (0.511, 0.208, 0.384)
N (0.511, 0.292, 0.884)
N (0.832, 0.097, 0.437)
N (0.832, 0.403, 0.937)
N (0.952, 0.653, 0.818)
N (0.952, 0.847, 0.318)
Cl (0.149, 0.573, 0.376)
Cl (0.149, 0.927, 0.876)
Cl (0.159, 0.165, 0.003)
Cl (0.159, 0.335, 0.503)
Cl (0.333, 0.546, 0.714)
Cl (0.333, 0.954, 0.214)
Cl (0.667, 0.046, 0.786)
Cl (0.667, 0.454, 0.286)
Cl (0.841, 0.665, 0.497)
Cl (0.841, 0.835, 0.997)
Cl (0.851, 0.073, 0.124)
Cl (0.851, 0.427, 0.624)

Summary:
- energy of formation (eV/atom) = -0.300
- size of the total moment (μB per formula unit) = 0.001